Material: NiB2Mo2
Method: DFT, PBE
State: relaxed

Structure (extended XYZ):
```
5
Lattice="-1.5925 2.2882 3.5692 1.5925 -2.2882 3.5692 1.5925 2.2882 -3.5692" Properties=species:S:1:pos:R:3 pbc="T T T"
Ni 0.0000 0.0000 0.0000
B 1.5925 1.3659 0.0000
B 0.0000 0.9223 3.5692
Mo 1.5925 0.0000 2.1465
Mo 0.0000 2.2882 1.4226
```

Symmetry ... No. 71
Formation enthalpy at 0 K ... -479.0 meV/atom
Calculated volume ... 10.40 Å³/atom
Electronic total energy ... -8.645 eV/atom
Crystal system ... orthorhombic